No. 1
An optimized crystal structure of BaH6C4O7, computed with PBE-GGA.

```
BaH6C4O7
1.0
-4.903 -4.200 -1.517
1.964 -0.891 8.109
-2.892 8.128 -0.568
Ba H C O
2 12 8 14
direct
0.780 0.927 0.185
0.220 0.073 0.815
0.648 0.907 0.519
0.352 0.093 0.481
0.260 0.882 0.447
0.740 0.118 0.553
0.301 0.647 0.205
0.699 0.353 0.795
0.278 0.564 0.008
0.722 0.436 0.992
0.096 0.756 0.020
0.904 0.244 0.980
0.899 0.733 0.840
0.101 0.267 0.160
0.274 0.490 0.699
0.726 0.510 0.301
0.222 0.431 0.508
0.778 0.569 0.492
0.321 0.623 0.531
0.679 0.377 0.469
0.368 0.684 0.718
0.632 0.316 0.282
0.217 0.985 0.467
0.783 0.015 0.533
0.311 0.677 0.103
0.689 0.323 0.897
0.969 0.794 0.971
0.031 0.206 0.029
0.753 0.591 0.199
0.247 0.409 0.801
0.125 0.280 0.378
0.875 0.720 0.622
0.351 0.706 0.429
0.649 0.294 0.571
0.450 0.838 0.841
0.550 0.162 0.159
```

Properties
DFT formation energy, eV/atom: -1.377
Corrected total energy (MP2020 scheme), eV per atom: -6.59

=====

No. 2
An optimized crystal structure of BaMg14C, computed with PBE-GGA.

```
BaMg14C
1.0
6.489 0.000 0.000
-3.244 5.619 0.000
0.000 0.000 10.344
Ba Mg C
1 14 1
direct
0.167 0.333 0.125
0.181 0.840 0.125
0.148 0.824 0.625
0.660 0.319 0.125
0.676 0.352 0.625
0.660 0.840 0.125
0.676 0.824 0.625
0.326 0.174 0.411
0.326 0.174 0.839
0.326 0.652 0.411
0.326 0.652 0.839
0.848 0.174 0.411
0.848 0.174 0.839
0.833 0.667 0.365
0.833 0.667 0.885
0.167 0.333 0.625
```

Properties
DFT formation energy, eV/atom: 0.363
Distance to the lowest polymorph of the same formula, meV per atom: 104.4

=====

No. 3
An optimized crystal structure of BaMg14C, computed with PBE-GGA.

```
BaMg14C
1.0
6.749 0.369 0.000
-3.055 5.291 0.000
0.000 0.000 10.324
Ba Mg C
1 14 1
direct
0.116 0.308 0.125
0.166 0.333 0.625
0.146 0.823 0.625
0.592 0.278 0.125
0.657 0.333 0.625
0.592 0.815 0.125
0.657 0.823 0.625
0.346 0.165 0.384
0.346 0.165 0.866
0.346 0.681 0.384
0.346 0.681 0.866
0.825 0.162 0.395
0.825 0.162 0.855
0.870 0.685 0.333
0.870 0.685 0.917
0.301 0.900 0.125
```

Properties
DFT formation energy, eV/atom: 0.259
Distance to the lowest polymorph of the same formula, meV per atom: 0.0

=====

No. 4
An optimized crystal structure of BaMg6CO8, computed with PBE-GGA.

```
BaMg6CO8
1.0
8.665 0.000 0.000
0.000 4.656 0.000
0.000 0.000 4.656
Ba Mg C O
1 6 1 8
direct
0.000 0.000 0.000
0.000 0.500 0.500
0.500 0.500 0.500
0.269 0.000 0.500
0.731 0.000 0.500
0.269 0.500 0.000
0.731 0.500 0.000
0.500 0.000 0.000
0.287 0.000 0.000
0.713 0.000 0.000
0.253 0.500 0.500
0.747 0.500 0.500
0.000 0.000 0.500
0.500 0.000 0.500
0.000 0.500 0.000
0.500 0.500 0.000
```

Properties
DFT formation energy, eV/atom: -2.014
Distance to the lowest polymorph of the same formula, meV per atom: 9.7
Corrected total energy (MP2020 scheme), eV per atom: -5.78

=====

No. 5
An optimized crystal structure of BaMgC2O6, computed with PBE-GGA.

```
BaMgC2O6
1.0
0.000 -5.064 0.000
-4.401 2.532 0.000
2.849 0.000 -11.439
Ba Mg C O
2 2 4 12
direct
0.227 0.000 0.750
0.773 0.000 0.250
0.000 0.500 0.000
0.500 0.500 0.500
0.838 0.229 0.608
0.609 0.771 0.892
0.162 0.771 0.392
0.391 0.229 0.108
0.872 0.637 0.402
0.236 0.363 0.098
0.128 0.363 0.598
0.764 0.637 0.902
0.747 0.063 0.886
0.685 0.937 0.614
0.253 0.937 0.114
0.315 0.063 0.386
0.701 0.391 0.623
0.310 0.609 0.877
0.299 0.609 0.377
0.690 0.391 0.123
```

Properties
DFT formation energy, eV/atom: -2.559
Corrected total energy (MP2020 scheme), eV per atom: -7.73

=====

No. 6
An optimized crystal structure of BaMgC2O6, computed with PBE-GGA.

```
BaMgC2O6
1.0
5.836 -2.546 0.000
5.836 2.546 0.000
4.726 0.000 4.267
Ba Mg C O
1 1 2 6
direct
0.000 0.000 0.000
0.500 0.500 0.500
0.760 0.760 0.760
0.240 0.240 0.240
0.611 0.052 0.611
0.052 0.611 0.611
0.389 0.389 0.948
0.389 0.948 0.389
0.948 0.389 0.389
0.611 0.611 0.052
```

Properties
DFT formation energy, eV/atom: -2.561
Corrected total energy (MP2020 scheme), eV per atom: -7.73